(1)
# TeI4

TeI4 after structural relaxation (GGA-PBE, the Materials Project).

Summary:
calculated volume: 49.0 Å³/atom
ΔH_f (0 K): -418.2 meV/atom
relative energy among the computed polymorphs: 7 meV per atom
MP2020-corrected energy: -2.2661 eV/atom
DFT total energy: -1.963 eV per atom
calculated density: 4.31 g cm⁻³

a b c (Å): 14.0121 14.0121 14.0121
angles (deg): 101.31 101.31 127.43
Last column: nearest neighbours and their distance in Å.
Fractional positions:
1 Te 0.3586 0.4962 0.1376  3 I 2.80
2 Te 0.5038 0.6414 0.8624  3 I 2.80
3 Te 0.7462 0.1086 0.6376  3 I 2.80
4 Te 0.3586 0.2210 0.8624  3 I 2.80
5 Te 0.7790 0.6414 0.1376  3 I 2.80
6 Te 0.8914 0.2538 0.3624  3 I 2.80
7 Te 0.8914 0.5290 0.6376  3 I 2.80
8 Te 0.4710 0.1086 0.3624  3 I 2.80
9 I 0.7631 0.1371 0.1398  1 Te 2.80
10 I 0.9906 0.8660 0.1246  1 Te 2.80
11 I 0.4869 0.1267 0.8739  1 Te 2.80
12 I 0.1160 0.4913 0.3754  1 Te 2.80
13 I 0.3871 0.7472 0.8739  1 Te 2.80
14 I 0.3767 0.2369 0.3739  1 Te 2.80
15 I 0.2557 0.3775 0.8782  3 Te 3.27-3.29
16 I 0.1340 0.0094 0.8754  1 Te 2.80
17 I 0.5087 0.8840 0.6246  1 Te 2.80
18 I 0.3871 0.5131 0.6398  1 Te 2.80
19 I 0.1160 0.7406 0.6246  1 Te 2.80
20 I 0.3767 0.0028 0.1398  1 Te 2.80
21 I 0.6225 0.5007 0.8782  3 Te 3.27-3.29
22 I 0.7507 0.3725 0.3782  3 Te 3.27-3.29
23 I 0.9972 0.6233 0.8602  1 Te 2.80
24 I 0.2528 0.1267 0.6398  1 Te 2.80
25 I 0.1340 0.2587 0.1246  1 Te 2.80
26 I 0.2528 0.6129 0.1261  1 Te 2.80
27 I 0.4869 0.6129 0.3602  1 Te 2.80
28 I 0.8733 0.5131 0.1261  1 Te 2.80
29 I 0.8629 0.0028 0.6261  1 Te 2.80
30 I 0.6275 0.2493 0.6218  3 Te 3.27-3.29
31 I 0.4993 0.3775 0.1218  3 Te 3.27-3.29
32 I 0.8629 0.2369 0.8602  1 Te 2.80
33 I 0.6225 0.7443 0.1218  3 Te 3.27-3.29
34 I 0.8733 0.7472 0.3602  1 Te 2.80
35 I 0.6275 0.0057 0.3782  3 Te 3.27-3.29
36 I 0.7631 0.6233 0.6261  1 Te 2.80
37 I 0.9943 0.3725 0.6218  3 Te 3.27-3.29
38 I 0.7413 0.8660 0.8754  1 Te 2.80
39 I 0.9972 0.1371 0.3739  1 Te 2.80
40 I 0.2594 0.8840 0.3754  1 Te 2.80



(2)
# BaYTiCuO5

BaYTiCuO5 after structural relaxation (GGA-PBE, the Materials Project).

Summary:
calculated volume: 13.7 Å³/atom
ΔH_f (0 K): -2990.2 meV/atom
total magnetization: 0.00 Bohr magnetons per cell
MP2020-corrected energy: -8.0035 eV/atom
DFT total energy: -7.622 eV per atom
calculated density: 5.64 g cm⁻³

a b c (Å): 3.9377 3.9377 7.9265
angles (deg): 90.00 90.00 90.00
Last column: nearest neighbours and their distance in Å.
Fractional positions:
1 Ba 0.5000 0.5000 0.0111  8 O 2.87
2 Y 0.5000 0.5000 0.4506  8 O 2.41-2.48
3 Ti 0.0000 0.0000 0.6949  1 O 1.80
4 Cu 0.0000 0.0000 0.2782  4 O 1.97
5 O 0.5000 0.0000 0.6406  2 Ti 2.02
6 O 0.0000 0.5000 0.6406  2 Ti 2.02
7 O 0.5000 0.0000 0.2752  2 Cu 1.97
8 O 0.0000 0.5000 0.2752  2 Cu 1.97
9 O 0.0000 0.0000 0.9217  1 Ti 1.80



(3)
# Li5CuP2O8

Li5CuP2O8 after structural relaxation (GGA-PBE, the Materials Project).

Summary:
calculated volume: 10.3 Å³/atom
ΔH_f (0 K): -2520.5 meV/atom
relative energy among the computed polymorphs: 6 meV per atom
total magnetization: 0.00 Bohr magnetons per cell
MP2020-corrected energy: -6.5239 eV/atom
DFT total energy: -6.180 eV per atom
calculated density: 2.89 g cm⁻³

a b c (Å): 6.2024 5.3565 9.9554
angles (deg): 89.83 90.00 90.00
Last column: nearest neighbours and their distance in Å.
Fractional positions:
1 Li 0.0004 0.1551 0.7454  4 O 2.01-2.08
2 Li 0.9996 0.1551 0.2454  4 O 2.01-2.08
3 Li 0.7518 0.3272 0.9953  4 O 1.96-2.03
4 Li 0.7471 0.6725 0.2447  4 O 1.97-2.01
5 Li 0.7477 0.6744 0.7456  4 O 1.96-2.03
6 Li 0.4992 0.8449 0.9960  4 O 1.95-2.08
7 Li 0.5008 0.8449 0.4960  4 O 1.95-2.08
8 Li 0.2529 0.6725 0.7447  4 O 1.97-2.01
9 Li 0.2523 0.6744 0.2456  4 O 1.96-2.03
10 Li 0.2482 0.3272 0.4953  4 O 1.96-2.03
11 Cu 0.7581 0.3348 0.4985  4 O 2.06-2.10
12 Cu 0.2419 0.3348 0.9985  4 O 2.06-2.10
13 P 0.9957 0.8248 0.9992  4 O 1.56-1.57
14 P 0.0043 0.8248 0.4992  4 O 1.56-1.57
15 P 0.4987 0.1715 0.2496  4 O 1.56-1.57
16 P 0.5013 0.1715 0.7496  4 O 1.56-1.57
17 O 0.0000 0.8201 0.6555  1 P 1.56
18 O 0.0151 0.0991 0.4461  1 P 1.56
19 O 0.0000 0.8201 0.1555  1 P 1.56
20 O 0.9849 0.0991 0.9461  1 P 1.56
21 O 0.7928 0.7035 0.4431  1 P 1.57
22 O 0.7929 0.6816 0.9478  1 P 1.56
23 O 0.7030 0.3109 0.1970  1 P 1.56
24 O 0.7099 0.3136 0.7042  1 P 1.57
25 O 0.5049 0.1689 0.9061  1 P 1.56
26 O 0.5016 0.8973 0.6972  1 P 1.56
27 O 0.4951 0.1689 0.4061  1 P 1.56
28 O 0.4984 0.8973 0.1972  1 P 1.56
29 O 0.2970 0.3109 0.6970  1 P 1.56
30 O 0.2901 0.3136 0.2042  1 P 1.57
31 O 0.2071 0.6816 0.4478  1 P 1.56
32 O 0.2072 0.7035 0.9431  1 P 1.57



(4)
# Tm2Co3Si5

Tm2Co3Si5 after structural relaxation (GGA-PBE, the Materials Project).

Summary:
calculated volume: 14.6 Å³/atom
ΔH_f (0 K): -732.0 meV/atom
MP2020-corrected energy: -6.4723 eV/atom
DFT total energy: -6.508 eV per atom
calculated density: 7.46 g cm⁻³

a b c (Å): 7.8407 7.8407 7.8407
angles (deg): 139.09 105.45 88.73
Last column: nearest neighbours and their distance in Å.
Fractional positions:
1 Tm 0.3678 0.6352 0.7326  10 Si 2.83-3.06, 3 Co 2.95-2.98
2 Tm 0.9026 0.1352 0.7674  10 Si 2.83-3.06, 3 Co 2.95-2.98
3 Tm 0.0974 0.8648 0.2326  10 Si 2.83-3.06, 3 Co 2.95-2.98
4 Tm 0.6322 0.3648 0.2674  10 Si 2.83-3.06, 3 Co 2.95-2.98
5 Co 0.0299 0.6386 0.3913  5 Si 2.24-2.31
6 Co 0.9701 0.3614 0.6087  5 Si 2.24-2.31
7 Co 0.5000 0.7500 0.2500  6 Si 2.33-2.52
8 Co 0.5000 0.2500 0.7500  6 Si 2.33-2.52
9 Co 0.2474 0.1386 0.1087  5 Si 2.24-2.31
10 Co 0.7526 0.8614 0.8913  5 Si 2.24-2.31
11 Si 0.2748 0.5248 0.2500  3 Co 2.30-2.52, 2 Si 2.48
12 Si 0.7252 0.9752 0.2500  3 Co 2.30-2.52, 2 Si 2.48
13 Si 0.0000 0.7500 0.7500  4 Co 2.31
14 Si 0.2399 0.3999 0.8400  3 Co 2.24-2.33, 2 Si 2.48
15 Si 0.7601 0.6001 0.1600  3 Co 2.24-2.33, 2 Si 2.48
16 Si 0.4401 0.1001 0.3400  3 Co 2.24-2.33, 2 Si 2.48
17 Si 0.0000 0.2500 0.2500  4 Co 2.31
18 Si 0.5599 0.8999 0.6600  3 Co 2.24-2.33, 2 Si 2.48
19 Si 0.7252 0.4752 0.7500  3 Co 2.30-2.52, 2 Si 2.48
20 Si 0.2748 0.0248 0.7500  3 Co 2.30-2.52, 2 Si 2.48



(5)
# YMg

YMg after structural relaxation (GGA-PBE, the Materials Project).

Summary:
calculated volume: 28.8 Å³/atom
ΔH_f (0 K): 35.0 meV/atom
total magnetization: 0.19 Bohr magnetons per cell
DFT total energy: -3.998 eV per atom
calculated density: 3.26 g cm⁻³

a b c (Å): 5.8927 5.8927 5.8927
angles (deg): 34.21 34.21 34.21
Last column: nearest neighbours and their distance in Å.
Fractional positions:
1 Y 0.5000 0.5000 0.5000  6 Mg 3.42, 6 Y 3.47
2 Mg 0.0000 0.0000 0.0000  6 Y 3.42, 6 Mg 3.47



(6)
# Lu2IrRu

Lu2IrRu after structural relaxation (GGA-PBE, the Materials Project).

Summary:
calculated volume: 18.7 Å³/atom
ΔH_f (0 K): -777.0 meV/atom
DFT total energy: -7.566 eV per atom
calculated density: 14.31 g cm⁻³

a b c (Å): 4.7255 4.7255 4.7255
angles (deg): 60.00 60.00 60.00
Last column: nearest neighbours and their distance in Å.
Fractional positions:
1 Lu 0.2500 0.2500 0.2500  4 Ir 2.89, 4 Ru 2.89
2 Lu 0.7500 0.7500 0.7500  4 Ru 2.89, 4 Ir 2.89
3 Ir 0.5000 0.5000 0.5000  8 Lu 2.89
4 Ru 0.0000 0.0000 0.0000  8 Lu 2.89



(7)
# Pb3Cl2O2

Pb3Cl2O2 after structural relaxation (GGA-PBE, the Materials Project).

Summary:
calculated volume: 25.3 Å³/atom
ΔH_f (0 K): -1396.5 meV/atom
MP2020-corrected energy: -4.9295 eV/atom
DFT total energy: -4.733 eV per atom
calculated density: 6.80 g cm⁻³

a b c (Å): 5.9461 9.8155 12.1251
angles (deg): 90.00 90.00 90.00
Last column: nearest neighbours and their distance in Å.
Fractional positions:
1 Pb 0.2500 0.0786 0.0812  4 O 2.38-2.49
2 Pb 0.7500 0.9214 0.9188  4 O 2.38-2.49
3 Pb 0.7500 0.5786 0.4188  4 O 2.38-2.49
4 Pb 0.2500 0.4214 0.5812  4 O 2.38-2.49
5 Pb 0.2500 0.3640 0.2850  2 O 2.25
6 Pb 0.7500 0.6360 0.7150  2 O 2.25
7 Pb 0.7500 0.8640 0.2150  2 O 2.25
8 Pb 0.2500 0.1360 0.7850  2 O 2.25
9 Pb 0.2500 0.7931 0.5626  2 O 2.30
10 Pb 0.7500 0.2069 0.4374  2 O 2.30
11 Pb 0.7500 0.2931 0.9374  2 O 2.30
12 Pb 0.2500 0.7069 0.0626  2 O 2.30
13 Cl 0.2500 0.0860 0.3640  1 Pb 2.89
14 Cl 0.7500 0.9140 0.6360  1 Pb 2.89
15 Cl 0.7500 0.5860 0.1360  1 Pb 2.89
16 Cl 0.2500 0.4140 0.8640  1 Pb 2.89
17 Cl 0.2500 0.8086 0.8085  3 Pb 2.98-3.24
18 Cl 0.7500 0.1914 0.1915  3 Pb 2.98-3.24
19 Cl 0.7500 0.3086 0.6915  3 Pb 2.98-3.24
20 Cl 0.2500 0.6914 0.3085  3 Pb 2.98-3.24
21 O 0.9948 0.3867 0.4212  4 Pb 2.25-2.49
22 O 0.4948 0.6133 0.5788  4 Pb 2.25-2.49
23 O 0.0052 0.8867 0.0788  4 Pb 2.25-2.49
24 O 0.5052 0.1133 0.9212  4 Pb 2.25-2.49
25 O 0.0052 0.6133 0.5788  4 Pb 2.25-2.49
26 O 0.5052 0.3867 0.4212  4 Pb 2.25-2.49
27 O 0.9948 0.1133 0.9212  4 Pb 2.25-2.49
28 O 0.4948 0.8867 0.0788  4 Pb 2.25-2.49



(8)
# SnHg2S2Br2

SnHg2S2Br2 after structural relaxation (GGA-PBE, the Materials Project).

Summary:
calculated volume: 43.8 Å³/atom
ΔH_f (0 K): -667.5 meV/atom
relative energy among the computed polymorphs: 46 meV per atom
total magnetization: 0.00 Bohr magnetons per cell
MP2020-corrected energy: -2.9766 eV/atom
DFT total energy: -2.680 eV per atom
calculated density: 4.03 g cm⁻³

a b c (Å): 10.2769 10.5103 11.9706
angles (deg): 71.42 90.00 90.00
Last column: nearest neighbours and their distance in Å.
Fractional positions:
1 Sn 0.1290 0.8380 0.0148  2 Br 2.68-2.69, 1 S 2.91
2 Sn 0.3710 0.8380 0.5148  2 Br 2.68-2.69, 1 S 2.91
3 Sn 0.6290 0.1620 0.4852  2 Br 2.68-2.69, 1 S 2.91
4 Sn 0.8710 0.1620 0.9852  2 Br 2.68-2.69, 1 S 2.91
5 Hg 0.4333 0.6844 0.1912  2 S 2.36-2.38
6 Hg 0.1602 0.5371 0.3957  2 S 2.38-2.40
7 Hg 0.6602 0.4629 0.1043  2 S 2.38-2.40
8 Hg 0.5667 0.3156 0.8088  2 S 2.36-2.38
9 Hg 0.3398 0.5371 0.8957  2 S 2.38-2.40
10 Hg 0.0667 0.6844 0.6912  2 S 2.36-2.38
11 Hg 0.9333 0.3156 0.3088  2 S 2.36-2.38
12 Hg 0.8398 0.4629 0.6043  2 S 2.38-2.40
13 S 0.2897 0.7363 0.3263  2 Hg 2.38-2.40
14 S 0.2103 0.7363 0.8263  2 Hg 2.38-2.40
15 S 0.0510 0.3275 0.4741  2 Hg 2.36-2.38
16 S 0.4490 0.3275 0.9741  2 Hg 2.36-2.38
17 S 0.7897 0.2637 0.1737  2 Hg 2.38-2.40
18 S 0.5510 0.6725 0.0259  2 Hg 2.36-2.38
19 S 0.7103 0.2637 0.6737  2 Hg 2.38-2.40
20 S 0.9490 0.6725 0.5259  2 Hg 2.36-2.38
21 Br 0.9760 0.6396 0.1441  1 Sn 2.68
22 Br 0.0240 0.3604 0.8559  1 Sn 2.68
23 Br 0.4760 0.3604 0.3559  1 Sn 2.68
24 Br 0.9411 0.9604 0.8613  1 Sn 2.69
25 Br 0.4411 0.0396 0.6387  1 Sn 2.69
26 Br 0.0589 0.0396 0.1387  1 Sn 2.69
27 Br 0.5589 0.9604 0.3613  1 Sn 2.69
28 Br 0.5240 0.6396 0.6441  1 Sn 2.68



(9)
# Ba

Ba after structural relaxation (GGA-PBE, the Materials Project).

Summary:
calculated volume: 63.9 Å³/atom
ΔH_f (0 K): 16.0 meV/atom
relative energy among the computed polymorphs: 16 meV per atom
DFT total energy: -1.903 eV per atom
calculated density: 3.57 g cm⁻³

a b c (Å): 4.4786 4.4786 7.3520
angles (deg): 90.00 90.00 120.00
Last column: nearest neighbours and their distance in Å.
Fractional positions:
1 Ba 0.3333 0.6667 0.2500  12 Ba 4.48-4.49
2 Ba 0.6667 0.3333 0.7500  12 Ba 4.48-4.49



(10)
# Li2CuP4O12

Li2CuP4O12 after structural relaxation (GGA-PBE, the Materials Project).

Summary:
calculated volume: 13.3 Å³/atom
ΔH_f (0 K): -2389.9 meV/atom
relative energy among the computed polymorphs: 77 meV per atom
total magnetization: 4.00 Bohr magnetons per cell
MP2020-corrected energy: -7.0712 eV/atom
DFT total energy: -6.637 eV per atom
calculated density: 2.59 g cm⁻³

a b c (Å): 12.7663 7.7161 11.4859
angles (deg): 62.97 90.00 90.00
Last column: nearest neighbours and their distance in Å.
Fractional positions:
1 Li 0.0629 0.5556 0.5945  2 O 1.97-2.11
2 Li 0.7107 0.0069 0.1184  1 O 1.93
3 Li 0.5629 0.4444 0.9055  2 O 1.97-2.11
4 Li 0.2107 0.9931 0.3816  1 O 1.93
5 Li 0.7893 0.0069 0.6184  1 O 1.93
6 Li 0.4371 0.5556 0.0945  2 O 1.97-2.11
7 Li 0.2893 0.9931 0.8816  1 O 1.93
8 Li 0.9371 0.4444 0.4055  2 O 1.97-2.11
9 Cu 0.1463 0.2505 0.9878  3 O 1.90-2.11
10 Cu 0.6463 0.7495 0.5122  3 O 1.90-2.11
11 Cu 0.3537 0.2505 0.4878  3 O 1.90-2.11
12 Cu 0.8537 0.7495 0.0122  3 O 1.90-2.11
13 P 0.8125 0.3975 0.6804  4 O 1.49-1.64
14 P 0.4167 0.5491 0.6086  4 O 1.50-1.61
15 P 0.3356 0.9084 0.1539  4 O 1.50-1.67
16 P 0.9167 0.4509 0.8914  4 O 1.50-1.61
17 P 0.9391 0.0701 0.1289  4 O 1.50-1.62
18 P 0.3125 0.6025 0.8196  4 O 1.49-1.64
19 P 0.4391 0.9299 0.3711  4 O 1.50-1.62
20 P 0.8356 0.0916 0.3461  4 O 1.50-1.67
21 P 0.1644 0.9084 0.6539  4 O 1.50-1.67
22 P 0.5609 0.0701 0.6289  4 O 1.50-1.62
23 P 0.6875 0.3975 0.1804  4 O 1.49-1.64
24 P 0.0609 0.9299 0.8711  4 O 1.50-1.62
25 P 0.0833 0.5491 0.1086  4 O 1.50-1.61
26 P 0.6644 0.0916 0.8461  4 O 1.50-1.67
27 P 0.5833 0.4509 0.3914  4 O 1.50-1.61
28 P 0.1875 0.6025 0.3196  4 O 1.49-1.64
29 O 0.6350 0.2152 0.9114  1 P 1.50
30 O 0.3637 0.3673 0.6221  1 P 1.50
31 O 0.9049 0.4062 0.5960  1 P 1.51
32 O 0.8460 0.3485 0.8252  2 P 1.59-1.60
33 O 0.2512 0.8069 0.2777  2 P 1.64-1.67
34 O 0.8560 0.9312 0.1290  1 P 1.51
35 O 0.5277 0.5488 0.6512  1 P 1.50
36 O 0.7387 0.5653 0.6376  1 P 1.49
37 O 0.2387 0.4347 0.8624  1 P 1.49
38 O 0.0277 0.4512 0.8488  1 P 1.50
39 O 0.4010 0.7109 0.4599  2 P 1.60-1.61
40 O 0.3460 0.6515 0.6748  2 P 1.59-1.60
41 O 0.0512 0.0427 0.1002  1 P 1.50
42 O 0.4375 0.9303 0.2300  2 P 1.62
43 O 0.7922 0.8949 0.4342  1 P 1.50
44 O 0.2922 0.1051 0.0658  1 P 1.50
45 O 0.9375 0.0697 0.2700  2 P 1.62
46 O 0.4049 0.5938 0.9040  1 P 1.51
47 O 0.8637 0.6327 0.8779  1 P 1.50
48 O 0.5512 0.9573 0.3998  1 P 1.50
49 O 0.1350 0.7848 0.5886  1 P 1.50
50 O 0.9010 0.2891 0.0401  2 P 1.60-1.61
51 O 0.2488 0.8069 0.7777  2 P 1.64-1.67
52 O 0.6440 0.9312 0.6290  1 P 1.51
53 O 0.3560 0.0688 0.3710  1 P 1.51
54 O 0.7512 0.1931 0.2223  2 P 1.64-1.67
55 O 0.0990 0.7109 0.9599  2 P 1.60-1.61
56 O 0.8650 0.2152 0.4114  1 P 1.50
57 O 0.4488 0.0427 0.6002  1 P 1.50
58 O 0.1363 0.3673 0.1221  1 P 1.50
59 O 0.5951 0.4062 0.0960  1 P 1.51
60 O 0.0625 0.9303 0.7300  2 P 1.62
61 O 0.7078 0.8949 0.9342  1 P 1.50
62 O 0.2078 0.1051 0.5658  1 P 1.50
63 O 0.5625 0.0697 0.7700  2 P 1.62
64 O 0.9488 0.9573 0.8998  1 P 1.50
65 O 0.6540 0.3485 0.3252  2 P 1.59-1.60
66 O 0.5990 0.2891 0.5401  2 P 1.60-1.61
67 O 0.9723 0.5488 0.1512  1 P 1.50
68 O 0.7613 0.5653 0.1376  1 P 1.49
69 O 0.2613 0.4347 0.3624  1 P 1.49
70 O 0.4723 0.4512 0.3488  1 P 1.50
71 O 0.1440 0.0688 0.8710  1 P 1.51
72 O 0.7488 0.1931 0.7223  2 P 1.64-1.67
73 O 0.1540 0.6515 0.1748  2 P 1.59-1.60
74 O 0.0951 0.5938 0.4040  1 P 1.51
75 O 0.6363 0.6327 0.3779  1 P 1.50
76 O 0.3650 0.7848 0.0886  1 P 1.50



Which value of calculated volume does entry 5 give?
28.8 Å³/atom